No. 1
Entry from the Materials Project: a relaxed structure of CeOF (PBE).

E_tot = -47.23 eV per cell

```
data_CeOF
_chemical_formula_sum 'Ce2 O2 F2'
_cell_length_a 3.980
_cell_length_b 3.980
_cell_length_c 5.896
_cell_angle_alpha 90.00
_cell_angle_beta 90.00
_cell_angle_gamma 90.00
_space_group_name_H-M_alt 'P 4/n m m'
_space_group_IT_number 129
loop_
_space_group_symop_operation_xyz
'x,y,z'
'-x,-y,-z'
'-y+1/2,x,z'
'y+1/2,-x,-z'
'-x+1/2,-y+1/2,z'
'x+1/2,y+1/2,-z'
'y,-x+1/2,z'
'-y,x+1/2,-z'
'x+1/2,-y,-z'
'-x+1/2,y,z'
'-y,-x,-z'
'y,x,z'
'-x,y+1/2,-z'
'x,-y+1/2,z'
'y+1/2,x+1/2,-z'
'-y+1/2,-x+1/2,z'
loop_
_atom_site_label
_atom_site_type_symbol
_atom_site_fract_x
_atom_site_fract_y
_atom_site_fract_z
Ce1 Ce 0.250 0.250 0.205
O1 O 0.250 0.750 0.000
F1 F 0.250 0.250 0.609
```



No. 2
Entry from the Materials Project: a relaxed structure of Mg30CdSnO32 (PBE).

Polymorph energy (0 for the lowest one) = 4 meV/atom

```
data_Mg30CdSnO32
_chemical_formula_sum 'Mg30 Cd1 Sn1 O32'
_cell_length_a 8.638
_cell_length_b 8.638
_cell_length_c 8.652
_cell_angle_alpha 90.00
_cell_angle_beta 90.00
_cell_angle_gamma 90.00
_space_group_name_H-M_alt 'P 4/m m m'
_space_group_IT_number 123
_space_group_name_Hall '-P 4 2'
loop_
_atom_site_label
_atom_site_type_symbol
_atom_site_fract_x
_atom_site_fract_y
_atom_site_fract_z
Mg1 Mg 0.000 0.000 0.000
Mg2 Mg 0.000 0.000 0.500
Mg3 Mg 0.000 0.250 0.250
Mg4 Mg 0.000 0.500 0.000
Mg5 Mg 0.000 0.500 0.500
Mg6 Mg 0.243 0.500 0.248
Mg7 Mg 0.246 0.246 0.500
Mg8 Mg 0.248 0.248 0.000
Cd1 Cd 0.500 0.500 0.000
Sn1 Sn 0.500 0.500 0.500
O1 O 0.000 0.000 0.250
O2 O 0.000 0.247 0.500
O3 O 0.000 0.248 0.000
O4 O 0.000 0.500 0.249
O5 O 0.230 0.500 0.500
O6 O 0.233 0.500 0.000
O7 O 0.251 0.251 0.250
O8 O 0.500 0.500 0.245
```



No. 3
Entry from the Materials Project: a relaxed structure of Na21Nb2Zn10P15S3O72 (PBE).

E_tot = -762.39 eV per cell

```
data_Na21Nb2Zn10P15S3O72
_chemical_formula_sum 'Na21 Nb2 Zn10 P15 S3 O72'
_cell_length_a 9.046
_cell_length_b 9.050
_cell_length_c 21.972
_cell_angle_alpha 89.41
_cell_angle_beta 89.78
_cell_angle_gamma 60.13
_space_group_name_H-M_alt 'P 1'
_space_group_IT_number 1
loop_
_space_group_symop_operation_xyz
'x,y,z'
loop_
_atom_site_label
_atom_site_type_symbol
_atom_site_fract_x
_atom_site_fract_y
_atom_site_fract_z
Na1 Na 0.000 0.000 0.000
Na2 Na 0.000 0.252 0.502
Na3 Na 0.001 0.627 0.742
Na4 Na 0.023 0.935 0.667
Na5 Na 0.041 0.292 0.173
Na6 Na 0.296 0.288 0.665
Na7 Na 0.297 0.655 0.175
Na8 Na 0.329 0.967 0.583
Na9 Na 0.331 0.967 0.085
Na10 Na 0.342 0.314 0.332
Na11 Na 0.370 0.250 0.003
Na12 Na 0.370 0.629 0.499
Na13 Na 0.620 0.002 0.502
Na14 Na 0.622 0.630 0.999
Na15 Na 0.651 0.305 0.914
Na16 Na 0.654 0.935 0.172
Na17 Na 0.670 0.662 0.669
Na18 Na 0.675 0.294 0.414
Na19 Na 0.683 0.975 0.827
Na20 Na 0.962 0.313 0.826
Na21 Na 0.992 0.631 0.251
Nb1 Nb 0.000 0.627 0.899
Nb2 Nb 0.993 0.631 0.399
Zn1 Zn 0.006 0.618 0.096
Zn2 Zn 0.327 0.959 0.428
Zn3 Zn 0.329 0.969 0.741
Zn4 Zn 0.330 0.967 0.252
Zn5 Zn 0.333 0.957 0.929
Zn6 Zn 0.657 0.292 0.069
Zn7 Zn 0.660 0.297 0.273
Zn8 Zn 0.666 0.292 0.765
Zn9 Zn 0.673 0.282 0.570
Zn10 Zn 0.989 0.627 0.597
P1 P 0.000 0.919 0.504
P2 P 0.027 0.261 0.336
P3 P 0.036 0.960 0.836
P4 P 0.292 0.332 0.504
P5 P 0.292 0.631 0.004
P6 P 0.331 0.664 0.336
P7 P 0.333 0.259 0.837
P8 P 0.365 0.293 0.168
P9 P 0.626 0.661 0.837
P10 P 0.628 0.961 0.335
P11 P 0.662 0.996 0.669
P12 P 0.697 0.630 0.504
P13 P 0.703 0.920 0.005
P14 P 0.963 0.293 0.669
P15 P 0.997 0.329 0.004
S1 S 0.369 0.590 0.668
S2 S 0.663 0.589 0.166
S3 S 0.959 0.999 0.167
O1 O 0.012 0.796 0.844
O2 O 0.017 0.443 0.343
O3 O 0.024 0.408 0.061
O4 O 0.027 0.814 0.562
O5 O 0.112 0.158 0.394
O6 O 0.115 0.986 0.894
O7 O 0.133 0.977 0.172
O8 O 0.141 0.129 0.673
O9 O 0.141 0.193 0.278
O10 O 0.141 0.929 0.778
O11 O 0.156 0.152 0.997
O12 O 0.159 0.939 0.496
O13 O 0.163 0.645 0.342
O14 O 0.164 0.442 0.845
O15 O 0.184 0.457 0.165
O16 O 0.185 0.414 0.561
O17 O 0.185 0.613 0.950
O18 O 0.188 0.659 0.062
O19 O 0.190 0.450 0.447
O20 O 0.195 0.609 0.665
O21 O 0.285 0.191 0.781
O22 O 0.300 0.769 0.276
O23 O 0.310 0.155 0.497
O24 O 0.311 0.790 0.996
O25 O 0.346 0.131 0.173
O26 O 0.349 0.746 0.393
O27 O 0.352 0.762 0.673
O28 O 0.358 0.153 0.895
O29 O 0.452 0.319 0.224
O30 O 0.453 0.481 0.722
O31 O 0.465 0.464 0.002
O32 O 0.466 0.327 0.502
O33 O 0.468 0.513 0.611
O34 O 0.471 0.267 0.109
O35 O 0.478 0.478 0.333
O36 O 0.489 0.279 0.830
O37 O 0.501 0.974 0.673
O38 O 0.507 0.760 0.171
O39 O 0.517 0.986 0.391
O40 O 0.521 0.789 0.495
O41 O 0.525 0.939 0.998
O42 O 0.529 0.741 0.896
O43 O 0.554 0.776 0.780
O44 O 0.560 0.924 0.276
O45 O 0.632 0.107 0.612
O46 O 0.644 0.512 0.109
O47 O 0.648 0.120 0.331
O48 O 0.664 0.477 0.832
O49 O 0.687 0.078 0.727
O50 O 0.687 0.478 0.219
O51 O 0.692 0.462 0.502
O52 O 0.697 0.094 0.002
O53 O 0.772 0.659 0.562
O54 O 0.787 0.812 0.062
O55 O 0.811 0.797 0.344
O56 O 0.813 0.647 0.844
O57 O 0.817 0.611 0.165
O58 O 0.821 0.818 0.948
O59 O 0.823 0.612 0.450
O60 O 0.827 0.817 0.666
O61 O 0.829 0.323 0.003
O62 O 0.833 0.092 0.501
O63 O 0.848 0.289 0.329
O64 O 0.850 0.088 0.220
O65 O 0.852 0.113 0.833
O66 O 0.853 0.322 0.726
O67 O 0.878 0.270 0.611
O68 O 0.885 0.099 0.109
O69 O 0.973 0.827 0.165
O70 O 0.979 0.450 0.948
O71 O 0.984 0.812 0.450
O72 O 0.986 0.453 0.665
```



No. 4
Entry from the Materials Project: a relaxed structure of La7I3O18 (PBE).

Polymorph energy (0 for the lowest one) = 0 meV/atom

```
data_La7I3O18
_chemical_formula_sum 'La14 I6 O36'
_cell_length_a 15.655
_cell_length_b 4.335
_cell_length_c 16.014
_cell_angle_alpha 90.00
_cell_angle_beta 117.48
_cell_angle_gamma 90.00
_space_group_name_H-M_alt 'P 1 21/m 1'
_space_group_IT_number 11
loop_
_space_group_symop_operation_xyz
'x,y,z'
'-x,-y,-z'
'-x,y+1/2,-z'
'x,-y+1/2,z'
loop_
_atom_site_label
_atom_site_type_symbol
_atom_site_fract_x
_atom_site_fract_y
_atom_site_fract_z
La1 La 0.058 0.250 0.184
La2 La 0.165 0.250 0.829
La3 La 0.187 0.750 0.631
La4 La 0.262 0.750 0.357
La5 La 0.352 0.250 0.580
La6 La 0.356 0.750 0.049
La7 La 0.400 0.250 0.264
I1 I 0.058 0.250 0.401
I2 I 0.139 0.750 0.038
I3 I 0.403 0.750 0.835
O1 O 0.041 0.250 0.871
O2 O 0.041 0.750 0.728
O3 O 0.095 0.750 0.256
O4 O 0.119 0.250 0.662
O5 O 0.169 0.250 0.385
O6 O 0.180 0.750 0.937
O7 O 0.222 0.250 0.244
O8 O 0.238 0.750 0.522
O9 O 0.259 0.250 0.660
O10 O 0.269 0.750 0.809
O11 O 0.321 0.750 0.213
O12 O 0.335 0.250 0.093
O13 O 0.339 0.250 0.954
O14 O 0.345 0.250 0.385
O15 O 0.377 0.750 0.526
O16 O 0.388 0.750 0.712
O17 O 0.467 0.750 0.210
O18 O 0.473 0.750 0.348
```



no.,density (g/cm³)
1,6.23
2,3.79
3,3.23
4,5.65